No. 1
The following is a PBE-GGA calculation of LiEu4C3I3N6 after structural relaxation, from the Materials Project database.

POSCAR file:
```
LiEu4C3I3N6
1.0
10.7386 0.0000 0.0000
-5.3693 9.2999 0.0000
0.0000 0.0000 6.8014
Li Eu C I N
2 8 6 6 12
Direct
0.0000 0.0000 0.0000
0.0000 0.0000 0.5000
0.2124 0.4248 0.2500
0.2124 0.7876 0.2500
0.3333 0.6667 0.7500
0.4248 0.2124 0.7500
0.5752 0.7876 0.2500
0.6667 0.3333 0.2500
0.7876 0.2124 0.7500
0.7876 0.5752 0.7500
0.0000 0.5000 0.0000
0.0000 0.5000 0.5000
0.5000 0.0000 0.0000
0.5000 0.0000 0.5000
0.5000 0.5000 0.0000
0.5000 0.5000 0.5000
0.1315 0.2630 0.7500
0.1315 0.8685 0.7500
0.2630 0.1315 0.2500
0.7370 0.8685 0.7500
0.8685 0.1315 0.2500
0.8685 0.7370 0.2500
0.1322 0.5661 0.0255
0.1322 0.5661 0.4745
0.4339 0.5661 0.0255
0.4339 0.5661 0.4745
0.4339 0.8678 0.0255
0.4339 0.8678 0.4745
0.5661 0.1322 0.5255
0.5661 0.1322 0.9745
0.5661 0.4339 0.5255
0.5661 0.4339 0.9745
0.8678 0.4339 0.5255
0.8678 0.4339 0.9745
```

## Properties
Calculated volume ... 19.978 A^3/atom
ΔH_f (0 K) ... -1.139 eV/atom
Magnetization ... 56.000 μB per cell
Crystal system ... hexagonal

No. 2
The following is a PBE-GGA calculation of Eu2CN2O2 after structural relaxation, from the Materials Project database.

POSCAR file:
```
Eu2CN2O2
1.0
3.8621 0.0000 0.0000
-1.9310 3.3447 0.0000
0.0000 0.0000 8.3541
Eu C N O
2 1 2 2
Direct
0.3333 0.6667 0.3208
0.6667 0.3333 0.6792
0.0000 0.0000 0.0000
0.0000 0.0000 0.1481
0.0000 0.0000 0.8519
0.3333 0.6667 0.6034
0.6667 0.3333 0.3966
```

## Properties
Calculated volume ... 15.416 A^3/atom
ΔH_f (0 K) ... -1.804 eV/atom
Magnetization ... 12.003 μB per cell
Crystal system ... trigonal

No. 3
The following is a PBE-GGA calculation of EuC2S2N2 after structural relaxation, from the Materials Project database.

POSCAR file:
```
EuC2S2N2
1.0
5.1130 -3.2232 0.0000
5.1130 3.2232 0.0000
-0.1676 0.0000 8.1191
Eu C S N
2 4 4 4
Direct
0.0878 0.9122 0.7500
0.9122 0.0878 0.2500
0.2480 0.5133 0.3985
0.4867 0.7520 0.1015
0.5133 0.2480 0.8985
0.7520 0.4867 0.6015
0.2349 0.3599 0.8266
0.3599 0.2349 0.3266
0.6401 0.7651 0.6734
0.7651 0.6401 0.1734
0.1617 0.7192 0.4500
0.2808 0.8383 0.0500
0.7192 0.1617 0.9500
0.8383 0.2808 0.5500
```

## Properties
Calculated volume ... 19.115 A^3/atom
ΔH_f (0 K) ... -0.677 eV/atom
Magnetization ... 14.002 μB per cell
Crystal system ... monoclinic

No. 4
The following is a PBE-GGA calculation of EuCO4 after structural relaxation, from the Materials Project database.

POSCAR file:
```
EuCO4
1.0
5.0348 0.0000 0.0000
0.0000 7.2581 0.0000
0.0000 0.0000 8.4975
Eu C O
4 4 16
Direct
0.0039 0.1027 0.1776
0.4961 0.8973 0.6776
0.5039 0.3973 0.8224
0.9961 0.6027 0.3224
0.0014 0.0500 0.8240
0.4986 0.9500 0.3240
0.5014 0.4500 0.1760
0.9986 0.5500 0.6760
0.0020 0.8000 0.1231
0.0056 0.4527 0.8018
0.2162 0.5995 0.6071
0.2275 0.0916 0.8875
0.2725 0.9084 0.3875
0.2838 0.4005 0.1071
0.4944 0.5473 0.3018
0.4980 0.2000 0.6231
0.5020 0.7000 0.8769
0.5056 0.0473 0.1982
0.7162 0.9005 0.3929
0.7275 0.4084 0.1125
0.7725 0.5916 0.6125
0.7838 0.0995 0.8929
0.9944 0.9527 0.6982
0.9980 0.3000 0.3769
```

## Properties
Calculated volume ... 12.938 A^3/atom
ΔH_f (0 K) ... -2.186 eV/atom
Magnetization ... 20.002 μB per cell
Crystal system ... orthorhombic

No. 5
The following is a PBE-GGA calculation of EuRh3C after structural relaxation, from the Materials Project database.

POSCAR file:
```
EuRh3C
1.0
4.2231 0.0000 0.0000
0.0000 4.2231 0.0000
0.0000 0.0000 4.2231
Eu Rh C
1 3 1
Direct
0.0000 0.0000 0.0000
0.0000 0.5000 0.5000
0.5000 0.0000 0.5000
0.5000 0.5000 0.0000
0.5000 0.5000 0.5000
```

## Properties
Calculated volume ... 15.063 A^3/atom
ΔH_f (0 K) ... -0.210 eV/atom
Magnetization ... 6.252 μB per cell
Crystal system ... cubic

No. 6
The following is a PBE-GGA calculation of SrEuC4 after structural relaxation, from the Materials Project database.

POSCAR file:
```
SrEuC4
1.0
2.8668 -3.3481 0.0000
2.8668 3.3481 0.0000
0.0000 0.0000 5.7501
Sr Eu C
1 1 4
Direct
0.0000 0.0000 0.0000
0.5000 0.5000 0.5000
0.0949 0.9051 0.5000
0.4058 0.5942 0.0000
0.5942 0.4058 0.0000
0.9051 0.0949 0.5000
```

## Properties
Calculated volume ... 18.397 A^3/atom
ΔH_f (0 K) ... 0.020 eV/atom
Magnetization ... 6.979 μB per cell
Crystal system ... orthorhombic

No. 7
The following is a PBE-GGA calculation of KGaH9C3F after structural relaxation, from the Materials Project database.

POSCAR file:
```
KGaH9C3F
1.0
0.0000 9.0877 9.0877
9.0877 0.0000 9.0877
9.0877 9.0877 0.0000
K Ga H C F
8 8 72 24 8
Direct
0.0794 0.0794 0.0794
0.0794 0.0794 0.7617
0.0794 0.7617 0.0794
0.2617 0.5794 0.5794
0.5794 0.2617 0.5794
0.5794 0.5794 0.2617
0.5794 0.5794 0.5794
0.7617 0.0794 0.0794
0.3673 0.3673 0.3673
0.3673 0.3673 0.8982
0.3673 0.8982 0.3673
0.3982 0.8673 0.8673
0.8673 0.3982 0.8673
0.8673 0.8673 0.3982
0.8673 0.8673 0.8673
0.8982 0.3673 0.3673
0.0036 0.5413 0.7601
0.0036 0.6950 0.5413
0.0036 0.7601 0.6950
0.0345 0.4240 0.9028
0.0345 0.6387 0.4240
0.0345 0.9028 0.6387
0.0413 0.1950 0.5036
0.0413 0.2601 0.1950
0.0413 0.5036 0.2601
0.1059 0.3823 0.7624
0.1059 0.7494 0.3823
0.1059 0.7624 0.7494
0.1387 0.4028 0.5345
0.1387 0.5345 0.9240
0.1387 0.9240 0.4028
0.1950 0.0413 0.2601
0.1950 0.2601 0.5036
0.1950 0.5036 0.0413
0.2494 0.2624 0.6059
0.2494 0.6059 0.8823
0.2494 0.8823 0.2624
0.2601 0.0413 0.5036
0.2601 0.1950 0.0413
0.2601 0.5036 0.1950
0.2624 0.2494 0.8823
0.2624 0.6059 0.2494
0.2624 0.8823 0.6059
0.3823 0.1059 0.7494
0.3823 0.7494 0.7624
0.3823 0.7624 0.1059
0.4028 0.1387 0.9240
0.4028 0.5345 0.1387
0.4028 0.9240 0.5345
0.4240 0.0345 0.6387
0.4240 0.6387 0.9028
0.4240 0.9028 0.0345
0.5036 0.0413 0.1950
0.5036 0.1950 0.2601
0.5036 0.2601 0.0413
0.5345 0.1387 0.4028
0.5345 0.4028 0.9240
0.5345 0.9240 0.1387
0.5413 0.0036 0.6950
0.5413 0.6950 0.7601
0.5413 0.7601 0.0036
0.6059 0.2494 0.2624
0.6059 0.2624 0.8823
0.6059 0.8823 0.2494
0.6387 0.0345 0.9028
0.6387 0.4240 0.0345
0.6387 0.9028 0.4240
0.6950 0.0036 0.7601
0.6950 0.5413 0.0036
0.6950 0.7601 0.5413
0.7494 0.1059 0.7624
0.7494 0.3823 0.1059
0.7494 0.7624 0.3823
0.7601 0.0036 0.5413
0.7601 0.5413 0.6950
0.7601 0.6950 0.0036
0.7624 0.1059 0.3823
0.7624 0.3823 0.7494
0.7624 0.7494 0.1059
0.8823 0.2494 0.6059
0.8823 0.2624 0.2494
0.8823 0.6059 0.2624
0.9028 0.0345 0.4240
0.9028 0.4240 0.6387
0.9028 0.6387 0.0345
0.9240 0.1387 0.5345
0.9240 0.4028 0.1387
0.9240 0.5345 0.4028
0.0196 0.4396 0.8186
0.0196 0.7222 0.4396
0.0196 0.8186 0.7222
0.2222 0.3186 0.5196
0.2222 0.5196 0.9396
0.2222 0.9396 0.3186
0.3186 0.2222 0.9396
0.3186 0.5196 0.2222
0.3186 0.9396 0.5196
0.4396 0.0196 0.7222
0.4396 0.7222 0.8186
0.4396 0.8186 0.0196
0.5196 0.2222 0.3186
0.5196 0.3186 0.9396
0.5196 0.9396 0.2222
0.7222 0.0196 0.8186
0.7222 0.4396 0.0196
0.7222 0.8186 0.4396
0.8186 0.0196 0.4396
0.8186 0.4396 0.7222
0.8186 0.7222 0.0196
0.9396 0.2222 0.5196
0.9396 0.3186 0.2222
0.9396 0.5196 0.3186
0.2051 0.9316 0.9316
0.4316 0.4316 0.4316
0.4316 0.4316 0.7051
0.4316 0.7051 0.4316
0.7051 0.4316 0.4316
0.9316 0.2051 0.9316
0.9316 0.9316 0.2051
0.9316 0.9316 0.9316
```

## Properties
Calculated volume ... 12.509 A^3/atom
ΔH_f (0 K) ... -0.501 eV/atom
Magnetization ... 0.047 μB per cell
Crystal system ... cubic